No. 1
{"formula": "UH10C4SN3O9", "functional": "GGA-PBE", "state": "relaxed", "lattice_angstrom": [[7.9594, 0.0000, 0.0000], [0.5837, 9.1505, 0.0000], [0.0393, 3.5686, 9.1829]], "species": ["U", "U", "H", "H", "H", "H", "H", "H", "H", "H", "H", "H", "H", "H", "H", "H", "H", "H", "H", "H", "H", "H", "C", "C", "C", "C", "C", "C", "C", "C", "S", "S", "N", "N", "N", "N", "N", "N", "O", "O", "O", "O", "O", "O", "O", "O", "O", "O", "O", "O", "O", "O", "O", "O", "O", "O"], "frac_coords": [[0.2022, 0.2740, 0.3783], [0.7978, 0.7260, 0.6217], [0.1053, 0.0900, 0.8598], [0.1217, 0.8885, 0.9210], [0.2051, 0.9944, 0.7578], [0.2084, 0.5079, 0.7264], [0.2910, 0.9901, 0.9139], [0.3305, 0.2028, 0.0392], [0.3768, 0.3900, 0.8141], [0.3834, 0.5873, 0.7617], [0.3890, 0.5038, 0.6345], [0.4838, 0.7511, 0.9909], [0.5162, 0.2489, 0.0091], [0.6110, 0.4962, 0.3655], [0.6166, 0.4127, 0.2383], [0.6232, 0.6100, 0.1859], [0.6695, 0.7972, 0.9608], [0.7090, 0.0099, 0.0861], [0.7916, 0.4921, 0.2736], [0.7949, 0.0056, 0.2422], [0.8783, 0.1115, 0.0790], [0.8947, 0.9100, 0.1402], [0.0595, 0.6178, 0.1359], [0.1526, 0.7818, 0.3913], [0.2330, 0.5806, 0.0778], [0.4494, 0.9603, 0.5689], [0.5506, 0.0397, 0.4311], [0.7670, 0.4194, 0.9222], [0.8474, 0.2182, 0.6086], [0.9405, 0.3822, 0.8641], [0.3189, 0.8044, 0.2957], [0.6811, 0.1956, 0.7043], [0.0283, 0.7646, 0.4623], [0.1787, 0.9914, 0.8623], [0.3405, 0.4988, 0.7328], [0.6595, 0.5012, 0.2672], [0.8213, 0.0086, 0.1377], [0.9717, 0.2354, 0.5377], [0.0089, 0.5013, 0.2442], [0.0160, 0.2504, 0.9223], [0.1113, 0.1598, 0.2851], [0.2901, 0.6781, 0.9658], [0.3044, 0.3835, 0.4718], [0.3042, 0.4464, 0.1547], [0.3093, 0.0305, 0.5787], [0.4205, 0.2107, 0.9698], [0.4872, 0.1671, 0.3402], [0.5128, 0.8329, 0.6598], [0.5795, 0.7893, 0.0302], [0.6907, 0.9695, 0.4213], [0.6958, 0.5536, 0.8453], [0.6956, 0.6165, 0.5282], [0.7099, 0.3219, 0.0342], [0.8887, 0.8402, 0.7149], [0.9840, 0.7496, 0.0777], [0.9911, 0.4987, 0.7558]], "total_magnetization_mub_per_atom": 0.000, "energy_mp2020_ev_per_atom": -6.83, "ef_ev_per_atom": -1.27, "sg": "P-1, No. 2", "rho_kg_m3": 2553}

No. 2
{"formula": "YH6C2SNO9", "functional": "GGA-PBE", "state": "relaxed", "lattice_angstrom": [[6.5886, 0.0000, 0.0000], [0.0000, 8.7401, 0.0000], [-5.6275, 0.0000, 13.9331]], "species": ["Y", "Y", "Y", "Y", "H", "H", "H", "H", "H", "H", "H", "H", "H", "H", "H", "H", "H", "H", "H", "H", "H", "H", "H", "H", "H", "H", "H", "H", "C", "C", "C", "C", "C", "C", "C", "C", "S", "S", "S", "S", "N", "N", "N", "N", "O", "O", "O", "O", "O", "O", "O", "O", "O", "O", "O", "O", "O", "O", "O", "O", "O", "O", "O", "O", "O", "O", "O", "O", "O", "O", "O", "O", "O", "O", "O", "O", "O", "O", "O", "O"], "frac_coords": [[0.1609, 0.2357, 0.4083], [0.1609, 0.2643, 0.9083], [0.8391, 0.7357, 0.0917], [0.8391, 0.7643, 0.5917], [0.2123, 0.0307, 0.0693], [0.2123, 0.4693, 0.5693], [0.3624, 0.0814, 0.6527], [0.3624, 0.4186, 0.1527], [0.3812, 0.2451, 0.2055], [0.3812, 0.2549, 0.7055], [0.4202, 0.6943, 0.8365], [0.4202, 0.8057, 0.3365], [0.4454, 0.6163, 0.7388], [0.4454, 0.8837, 0.2388], [0.4457, 0.0386, 0.0654], [0.4457, 0.4614, 0.5654], [0.5543, 0.5386, 0.4346], [0.5543, 0.9614, 0.9346], [0.5546, 0.1163, 0.7612], [0.5546, 0.3837, 0.2612], [0.5798, 0.1943, 0.6635], [0.5798, 0.3057, 0.1635], [0.6188, 0.7451, 0.2945], [0.6188, 0.7549, 0.7945], [0.6376, 0.5814, 0.8473], [0.6376, 0.9186, 0.3473], [0.7877, 0.5307, 0.4307], [0.7877, 0.9693, 0.9307], [0.0872, 0.0291, 0.2208], [0.0872, 0.4709, 0.7208], [0.1343, 0.5230, 0.2675], [0.1343, 0.9770, 0.7675], [0.8657, 0.0230, 0.2325], [0.8657, 0.4770, 0.7325], [0.9128, 0.5291, 0.2792], [0.9128, 0.9709, 0.7792], [0.2425, 0.6650, 0.9780], [0.2425, 0.8350, 0.4780], [0.7575, 0.1650, 0.5220], [0.7575, 0.3350, 0.0220], [0.4681, 0.1629, 0.6949], [0.4681, 0.3371, 0.1949], [0.5319, 0.6629, 0.8051], [0.5319, 0.8371, 0.3051], [0.0708, 0.7348, 0.0070], [0.0708, 0.7652, 0.5070], [0.1114, 0.5590, 0.6578], [0.1114, 0.9410, 0.1578], [0.1530, 0.6003, 0.1999], [0.1530, 0.8997, 0.6999], [0.1973, 0.7016, 0.8762], [0.1973, 0.7984, 0.3762], [0.2299, 0.1203, 0.2745], [0.2299, 0.3797, 0.7745], [0.2441, 0.0051, 0.4917], [0.2441, 0.4949, 0.9917], [0.2806, 0.0607, 0.8272], [0.2806, 0.4393, 0.3272], [0.3015, 0.0877, 0.0402], [0.3015, 0.4123, 0.5402], [0.4590, 0.7285, 0.0405], [0.4590, 0.7715, 0.5405], [0.5410, 0.2285, 0.4595], [0.5410, 0.2715, 0.9595], [0.6985, 0.5877, 0.4598], [0.6985, 0.9123, 0.9598], [0.7194, 0.5607, 0.6728], [0.7194, 0.9393, 0.1728], [0.7559, 0.5051, 0.0083], [0.7559, 0.9949, 0.5083], [0.7701, 0.6203, 0.2255], [0.7701, 0.8797, 0.7255], [0.8027, 0.2016, 0.6238], [0.8027, 0.2984, 0.1238], [0.8470, 0.1003, 0.3001], [0.8470, 0.3997, 0.8001], [0.8886, 0.0590, 0.8422], [0.8886, 0.4410, 0.3422], [0.9292, 0.2348, 0.4930], [0.9292, 0.2652, 0.9930]], "total_magnetization_mub_per_atom": 0.000, "energy_mp2020_ev_per_atom": -6.81, "ef_ev_per_atom": -1.69, "sg": "P2_1/c, No. 14", "rho_kg_m3": 2558}

No. 3
{"formula": "ZnH12C6S2N10O2", "functional": "GGA-PBE", "state": "relaxed", "lattice_angstrom": [[9.7354, -2.3784, 0.0000], [9.7354, 2.3784, 0.0000], [-7.3171, 0.0000, 17.2491]], "species": ["Zn", "Zn", "H", "H", "H", "H", "H", "H", "H", "H", "H", "H", "H", "H", "H", "H", "H", "H", "H", "H", "H", "H", "H", "H", "H", "H", "C", "C", "C", "C", "C", "C", "C", "C", "C", "C", "C", "C", "S", "S", "S", "S", "N", "N", "N", "N", "N", "N", "N", "N", "N", "N", "N", "N", "N", "N", "N", "N", "N", "N", "N", "N", "O", "O", "O", "O"], "frac_coords": [[0.1666, 0.8334, 0.7500], [0.8334, 0.1666, 0.2500], [0.0018, 0.0849, 0.4647], [0.0244, 0.6209, 0.7372], [0.0849, 0.0018, 0.9647], [0.1049, 0.6567, 0.5412], [0.2017, 0.2668, 0.2390], [0.2048, 0.4879, 0.8749], [0.2583, 0.3809, 0.9516], [0.2668, 0.2017, 0.7390], [0.3433, 0.8951, 0.9588], [0.3791, 0.9756, 0.7628], [0.3809, 0.2583, 0.4516], [0.4879, 0.2048, 0.3749], [0.5121, 0.7952, 0.6251], [0.6191, 0.7417, 0.5484], [0.6209, 0.0244, 0.2372], [0.6567, 0.1049, 0.0412], [0.7332, 0.7983, 0.2610], [0.7417, 0.6191, 0.0484], [0.7952, 0.5121, 0.1251], [0.7983, 0.7332, 0.7610], [0.8951, 0.3433, 0.4588], [0.9151, 0.9982, 0.0353], [0.9756, 0.3791, 0.2628], [0.9982, 0.9151, 0.5353], [0.0990, 0.6381, 0.1473], [0.2322, 0.5805, 0.4492], [0.3619, 0.9010, 0.3527], [0.4007, 0.5189, 0.3636], [0.4195, 0.7678, 0.0508], [0.4811, 0.5993, 0.1364], [0.5189, 0.4007, 0.8636], [0.5805, 0.2322, 0.9492], [0.5993, 0.4811, 0.6364], [0.6381, 0.0990, 0.6473], [0.7678, 0.4195, 0.5508], [0.9010, 0.3619, 0.8527], [0.2535, 0.3544, 0.0980], [0.3544, 0.2535, 0.5980], [0.6456, 0.7465, 0.4020], [0.7465, 0.6456, 0.9020], [0.0180, 0.1516, 0.8167], [0.0749, 0.7459, 0.5093], [0.1516, 0.0180, 0.3167], [0.2299, 0.6817, 0.4161], [0.2541, 0.9251, 0.9907], [0.3183, 0.7701, 0.0839], [0.3278, 0.3816, 0.9240], [0.3801, 0.5542, 0.8163], [0.3816, 0.3278, 0.4240], [0.4458, 0.6199, 0.6837], [0.5542, 0.3801, 0.3163], [0.6184, 0.6722, 0.5760], [0.6199, 0.4458, 0.1837], [0.6722, 0.6184, 0.0760], [0.6817, 0.2299, 0.9161], [0.7459, 0.0749, 0.0093], [0.7701, 0.3183, 0.5839], [0.8484, 0.9820, 0.6833], [0.9251, 0.2541, 0.4907], [0.9820, 0.8484, 0.1833], [0.0060, 0.5820, 0.7699], [0.4180, 0.9940, 0.7301], [0.5820, 0.0060, 0.2699], [0.9940, 0.4180, 0.2301]], "total_magnetization_mub_per_atom": 0.000, "energy_mp2020_ev_per_atom": -6.35, "ef_ev_per_atom": -0.32, "sg": "C2/c, No. 15", "rho_kg_m3": 1604}

No. 4
{"formula": "ZnH12C3S4N6O4", "functional": "GGA-PBE", "state": "relaxed", "lattice_angstrom": [[11.1349, 0.0000, 0.0000], [0.0000, 7.7747, 0.0000], [0.0000, 0.0000, 15.6561]], "species": ["Zn", "Zn", "Zn", "Zn", "H", "H", "H", "H", "H", "H", "H", "H", "H", "H", "H", "H", "H", "H", "H", "H", "H", "H", "H", "H", "H", "H", "H", "H", "H", "H", "H", "H", "H", "H", "H", "H", "H", "H", "H", "H", "H", "H", "H", "H", "H", "H", "H", "H", "H", "H", "H", "H", "C", "C", "C", "C", "C", "C", "C", "C", "C", "C", "C", "C", "S", "S", "S", "S", "S", "S", "S", "S", "S", "S", "S", "S", "S", "S", "S", "S", "N", "N", "N", "N", "N", "N", "N", "N", "N", "N", "N", "N", "N", "N", "N", "N", "N", "N", "N", "N", "N", "N", "N", "N", "O", "O", "O", "O", "O", "O", "O", "O", "O", "O", "O", "O", "O", "O", "O", "O"], "frac_coords": [[0.0677, 0.1549, 0.0000], [0.4323, 0.1549, 0.5000], [0.5677, 0.8451, 0.0000], [0.9323, 0.8451, 0.5000], [0.0362, 0.1166, 0.5793], [0.0377, 0.3606, 0.2889], [0.0575, 0.1739, 0.6867], [0.0839, 0.5785, 0.4323], [0.1148, 0.7917, 0.2732], [0.1453, 0.6851, 0.8578], [0.1507, 0.8390, 0.9416], [0.1544, 0.2096, 0.3003], [0.2027, 0.4449, 0.0884], [0.2128, 0.5136, 0.6765], [0.2176, 0.4663, 0.4516], [0.2466, 0.9034, 0.2426], [0.2534, 0.9034, 0.7426], [0.2824, 0.4663, 0.9516], [0.2872, 0.5136, 0.1765], [0.2973, 0.4449, 0.5884], [0.3456, 0.2096, 0.8003], [0.3493, 0.8390, 0.4416], [0.3547, 0.6851, 0.3578], [0.3852, 0.7917, 0.7732], [0.4161, 0.5785, 0.9323], [0.4425, 0.1739, 0.1867], [0.4623, 0.3606, 0.7889], [0.4638, 0.1166, 0.0793], [0.5362, 0.8834, 0.5793], [0.5377, 0.6394, 0.2889], [0.5575, 0.8261, 0.6867], [0.5839, 0.4215, 0.4323], [0.6148, 0.2083, 0.2732], [0.6453, 0.3149, 0.8578], [0.6507, 0.1610, 0.9416], [0.6544, 0.7904, 0.3003], [0.7027, 0.5551, 0.0884], [0.7128, 0.4864, 0.6765], [0.7176, 0.5337, 0.4516], [0.7466, 0.0966, 0.2426], [0.7534, 0.0966, 0.7426], [0.7824, 0.5337, 0.9516], [0.7872, 0.4864, 0.1765], [0.7973, 0.5551, 0.5884], [0.8456, 0.7904, 0.8003], [0.8493, 0.1610, 0.4416], [0.8547, 0.3149, 0.3578], [0.8852, 0.2083, 0.7732], [0.9161, 0.4215, 0.9323], [0.9425, 0.8261, 0.1867], [0.9623, 0.6394, 0.7889], [0.9638, 0.8834, 0.0793], [0.0062, 0.1656, 0.3741], [0.1150, 0.8963, 0.1525], [0.1362, 0.5617, 0.5590], [0.3638, 0.5617, 0.0590], [0.3850, 0.8963, 0.6525], [0.4938, 0.1656, 0.8741], [0.5062, 0.8344, 0.3741], [0.6150, 0.1037, 0.1525], [0.6362, 0.4383, 0.5590], [0.8638, 0.4383, 0.0590], [0.8850, 0.1037, 0.6525], [0.9938, 0.8344, 0.8741], [0.0157, 0.6679, 0.6051], [0.0794, 0.0034, 0.4297], [0.1285, 0.3429, 0.8281], [0.2074, 0.9895, 0.0756], [0.2926, 0.9895, 0.5756], [0.3715, 0.3429, 0.3281], [0.4206, 0.0034, 0.9297], [0.4843, 0.6679, 0.1051], [0.5157, 0.3321, 0.6051], [0.5794, 0.9966, 0.4297], [0.6285, 0.6571, 0.8281], [0.7074, 0.0105, 0.0756], [0.7926, 0.0105, 0.5756], [0.8715, 0.6571, 0.3281], [0.9206, 0.9966, 0.9297], [0.9843, 0.3321, 0.1051], [0.0005, 0.8569, 0.1376], [0.0681, 0.2466, 0.3135], [0.1065, 0.7866, 0.8907], [0.1482, 0.5403, 0.4750], [0.1630, 0.8590, 0.2284], [0.2204, 0.5000, 0.6115], [0.2796, 0.5000, 0.1115], [0.3370, 0.8590, 0.7284], [0.3518, 0.5403, 0.9750], [0.3935, 0.7866, 0.3907], [0.4319, 0.2466, 0.8135], [0.4995, 0.8569, 0.6376], [0.5005, 0.1431, 0.1376], [0.5681, 0.7534, 0.3135], [0.6065, 0.2134, 0.8907], [0.6482, 0.4597, 0.4750], [0.6630, 0.1410, 0.2284], [0.7204, 0.5000, 0.6115], [0.7796, 0.5000, 0.1115], [0.8370, 0.1410, 0.7284], [0.8518, 0.4597, 0.9750], [0.8935, 0.2134, 0.3907], [0.9319, 0.7534, 0.8135], [0.9995, 0.1431, 0.6376], [0.0027, 0.6240, 0.3212], [0.1599, 0.3137, 0.9223], [0.1643, 0.1890, 0.7782], [0.1985, 0.4965, 0.8007], [0.3015, 0.4965, 0.3007], [0.3357, 0.1890, 0.2782], [0.3401, 0.3137, 0.4223], [0.4973, 0.6240, 0.8212], [0.5027, 0.3760, 0.3212], [0.6599, 0.6863, 0.9223], [0.6643, 0.8110, 0.7782], [0.6985, 0.5035, 0.8007], [0.8015, 0.5035, 0.3007], [0.8357, 0.8110, 0.2782], [0.8401, 0.6863, 0.4223], [0.9973, 0.3760, 0.8212]], "total_magnetization_mub_per_atom": 0.000, "energy_mp2020_ev_per_atom": -5.79, "ef_ev_per_atom": -0.59, "sg": "Pca2_1, No. 29", "rho_kg_m3": 1910}